[1]
Material: CeSi2Au4
Method: DFT, PBE
State: relaxed

abc: 4.3276 4.3276 27.6734
angles: 90.00 90.00 90.00
Closest atoms and distances in Å follow each position.
Space group P-4m2 (No. 115)
Symmetry-distinct sites (fractional):
Ce: 0.0000 0.0000 0.0000  8 Au 3.24, 8 Si 3.27
Ce: 0.0000 0.0000 0.5000  8 Au 3.23-3.24, 8 Si 3.27
Ce: 0.0000 0.5000 0.2517  8 Au 3.21-3.27, 8 Si 3.27
Si: 0.0000 0.5000 0.7062  1 Si 2.32, 4 Au 2.48-2.49
Si: 0.0000 0.5000 0.7901  1 Si 2.32, 4 Au 2.51-2.52
Si: 0.5000 0.5000 0.0420  1 Si 2.33, 4 Au 2.50
Si: 0.5000 0.5000 0.4580  1 Si 2.32, 4 Au 2.50
Au: 0.0000 0.0000 0.1637  2 Si 2.51
Au: 0.0000 0.0000 0.3376  2 Si 2.48
Au: 0.0000 0.5000 0.0871  2 Si 2.50
Au: 0.0000 0.5000 0.4131  2 Si 2.50
Au: 0.0000 0.5000 0.5872  2 Si 2.50
Au: 0.0000 0.5000 0.9131  2 Si 2.50
Au: 0.5000 0.5000 0.1630  2 Si 2.52
Au: 0.5000 0.5000 0.3382  2 Si 2.49

ΔE_f (meV per atom): -447
Energy (eV/atom): -4.72
Crystal system: tetragonal
Energy above the lowest structure with this stoichiometry (meV/atom): 15
Total magnetization (μB per formula unit): 0.73

[2]
Material: CeSi2Au4
Method: DFT, PBE
State: relaxed

abc: 4.3729 13.9000 4.3700
angles: 90.00 90.00 90.00
Closest atoms and distances in Å follow each position.
Space group Cmmm (No. 65)
Symmetry-distinct sites (fractional):
Ce: 0.0000 0.0000 0.0000  8 Au 3.26, 8 Si 3.31
Si: 0.0000 0.4155 0.5000  1 Si 2.35, 4 Au 2.51
Au: 0.0000 0.1738 0.5000  2 Si 2.51
Au: 0.0000 0.3260 0.0000  2 Si 2.51

ΔE_f (meV per atom): -462
Energy (eV/atom): -4.73
Crystal system: orthorhombic
Energy above the lowest structure with this stoichiometry (meV/atom): 0

[3]
Material: Ce3Sn5Au6
Method: DFT, PBE
State: relaxed

abc: 4.6584 13.7806 10.2698
angles: 90.00 90.00 90.00
Closest atoms and distances in Å follow each position.
Space group Pmmn (No. 59, origin choice 2)
Symmetry-distinct sites (fractional):
Ce: 0.2500 0.0668 0.2454  6 Au 3.22-3.44, 6 Sn 3.38-3.44
Ce: 0.2500 0.7500 0.2434  8 Au 3.40-3.72, 6 Sn 3.46-3.47
Sn: 0.2500 0.0870 0.8790  5 Au 2.67-2.81
Sn: 0.2500 0.6094 0.5228  5 Au 2.76-3.05
Sn: 0.2500 0.7500 0.7768  6 Au 2.88-3.22
Au: 0.2500 0.0868 0.6188  4 Sn 2.67-2.88, 1 Au 2.90
Au: 0.2500 0.2500 0.0390  4 Sn 2.78-3.00, 4 Au 3.09
Au: 0.2500 0.2500 0.4398  2 Au 2.90, 6 Sn 3.05-3.22, 2 Ce 3.22
Au: 0.2500 0.6035 0.9772  4 Sn 2.77-2.88, 2 Au 3.09

ΔE_f (meV per atom): -560
Energy (eV/atom): -4.67
Crystal system: orthorhombic
Total magnetization (μB per formula unit): 2.66

[4]
Material: CeZnAu
Method: DFT, PBE
State: relaxed

abc: 6.9881 4.6529 8.0404
angles: 90.00 90.00 90.00
Closest atoms and distances in Å follow each position.
Space group Pnma (No. 62)
Symmetry-distinct sites (fractional):
Ce: 0.0053 0.2500 0.2252  6 Au 3.12-3.32, 6 Zn 3.16-3.29
Zn: 0.2058 0.2500 0.5824  3 Au 2.70-2.71
Au: 0.2271 0.7500 0.4140  3 Zn 2.70-2.71

ΔE_f (meV per atom): -584
Energy (eV/atom): -4.07
Crystal system: orthorhombic

[5]
Material: CeZnAu2
Method: DFT, PBE
State: relaxed

abc: 6.9795 6.9795 6.9795
angles: 90.00 90.00 90.00
Closest atoms and distances in Å follow each position.
Space group Fm-3m (No. 225)
Symmetry-distinct sites (fractional):
Ce: 0.0000 0.0000 0.0000  8 Au 3.02
Zn: 0.0000 0.0000 0.5000  8 Au 3.02
Au: 0.2500 0.2500 0.2500  4 Zn 3.02, 4 Ce 3.02

ΔE_f (meV per atom): -533
Energy (eV/atom): -3.97
Crystal system: cubic
Total magnetization (μB per formula unit): 0.02

[6]
Material: AuCl
Method: DFT, PBE
State: relaxed

abc: 4.2690 4.2690 6.9595
angles: 90.00 90.00 120.00
Closest atoms and distances in Å follow each position.
Space group P6_3mc (No. 186)
Symmetry-distinct sites (fractional):
Au: 0.3333 0.6667 0.0000  4 Cl 2.61
Cl: 0.3333 0.6667 0.3753  4 Au 2.61

ΔE_f (meV per atom): -167
Energy (eV/atom): -2.42
Crystal system: hexagonal
Total magnetization (μB per formula unit): 0.00

[7]
Material: AuCl3
Method: DFT, PBE
State: relaxed

abc: 7.1107 11.9099 6.9298
angles: 90.00 115.10 90.00
Closest atoms and distances in Å follow each position.
Space group P2_1/c (No. 14)
Symmetry-distinct sites (fractional):
Au: 0.0398 0.0839 0.2220  4 Cl 2.28-2.38
Cl: 0.1724 0.6542 0.1358  1 Au 2.28
Cl: 0.2451 0.0047 0.0604  2 Au 2.38
Cl: 0.3226 0.1649 0.4848  1 Au 2.28

ΔE_f (meV per atom): -720
Energy (eV/atom): -2.46
Crystal system: monoclinic

[8]
Material: AuCl
Method: DFT, PBE
State: relaxed

abc: 4.3959 4.3959 12.1964
angles: 90.00 90.00 90.00
Closest atoms and distances in Å follow each position.
Space group P4_2/ncm (No. 138, origin choice 2)
Symmetry-distinct sites (fractional):
Au: 0.0000 0.0000 0.0000  2 Cl 2.35
Cl: 0.2500 0.2500 0.1446  2 Au 2.35

ΔE_f (meV per atom): -516
Energy (eV/atom): -2.77
Crystal system: tetragonal

[9]
Material: AuCl
Method: DFT, PBE
State: relaxed

abc: 7.2377 7.2377 8.7244
angles: 90.00 90.00 90.00
Closest atoms and distances in Å follow each position.
Space group I4_1/amd (No. 141, origin choice 2)
Symmetry-distinct sites (fractional):
Au: 0.0000 0.0000 0.0000  2 Cl 2.33
Cl: 0.0000 0.2500 0.1681  2 Au 2.33

ΔE_f (meV per atom): -522
Energy (eV/atom): -2.78
Crystal system: tetragonal

[10]
Material: Au3Cl
Method: DFT, PBE
State: relaxed

abc: 4.2609 4.2609 8.3881
angles: 90.00 90.00 90.00
Closest atoms and distances in Å follow each position.
Space group I4/mmm (No. 139)
Symmetry-distinct sites (fractional):
Au: 0.0000 0.0000 0.0000  8 Au 2.99, 4 Cl 3.01
Au: 0.0000 0.5000 0.2500  4 Cl 2.99, 8 Au 2.99-3.01
Cl: 0.0000 0.0000 0.5000  12 Au 2.99-3.01

ΔE_f (meV per atom): 151
Energy (eV/atom): -2.61
Crystal system: tetragonal
Total magnetization (μB per formula unit): 0.00

[11]
Material: AuCl
Method: DFT, PBE
State: relaxed

abc: 7.6291 4.4969 5.3585
angles: 90.00 132.76 90.00
Closest atoms and distances in Å follow each position.
Space group Cm (No. 8)
Symmetry-distinct sites (fractional):
Au: 0.0000 0.0000 0.0000  2 Cl 2.34
Cl: 0.3962 0.0000 0.9477  2 Au 2.34

ΔE_f (meV per atom): -266
Energy (eV/atom): -2.52
Crystal system: monoclinic
Total magnetization (μB per formula unit): 0.00